1.
The following is a PBE+U calculation of a relaxed Li9Mn2Co5O16 crystal, from the Materials Project.

The energy with MP2020 corrections comes out at -6.509 eV/atom. For the calculated formation energy, the calculation gives -1.815 eV/atom. The relative energy among the computed polymorphs comes out at 1.57 eV per formula unit. Its density is 4.21 g/cm3.

a = 5.1551 Å, b = 11.4762 Å, c = 5.1794 Å
α = 90.00°, β = 111.33°, γ = 90.00°
Last column: nearest neighbours and their distance in Å.
Positions (direct):
Li: 0.0000 0.9998 0.0000  6 O 2.02-2.22
Li: 0.0000 0.1200 0.5000  4 O 2.06-2.19
Li: 0.0000 0.3719 0.5000  6 O 2.11-2.15
Li: 0.0000 0.6237 0.5000  6 O 2.09-2.19
Li: 0.0000 0.8793 0.5000  6 O 2.14-2.21
Li: 0.5000 0.0000 0.5000  6 O 2.06-2.18
Li: 0.5000 0.2474 0.5000  6 O 2.08-2.13
Li: 0.5000 0.4957 0.5000  6 O 2.07-2.15
Li: 0.5000 0.7508 0.5000  4 O 2.01-2.15
Mn: 0.0000 0.4954 0.0000  4 O 1.95-1.99
Mn: 0.0000 0.7536 0.0000  6 O 1.88-2.01
Co: 0.0000 0.2459 0.0000  4 O 1.90-1.95
Co: 0.5000 0.1265 0.0000  6 O 1.91-1.93
Co: 0.5000 0.3725 0.0000  6 O 1.93-2.13
Co: 0.5000 0.6203 0.0000  6 O 1.98-2.08
Co: 0.5000 0.8829 0.0000  6 O 1.94-2.09
O: 0.2274 0.3705 0.2260  2 Co 1.95-2.13, 1 Mn 1.95, 3 Li 2.13-2.14
O: 0.2361 0.6234 0.2233  2 Mn 1.99-2.01, 1 Co 2.08, 3 Li 2.15-2.19
O: 0.2403 0.7482 0.7798  1 Mn 1.97, 2 Co 2.03-2.09, 2 Li 2.09-2.14
O: 0.2454 0.8645 0.2300  1 Mn 1.88, 2 Li 2.01-2.08, 1 Co 2.08
O: 0.2552 0.1303 0.2066  2 Co 1.90-1.93, 2 Li 2.02-2.08
O: 0.2756 0.4952 0.7599  2 Co 1.95-1.98, 3 Li 2.07-2.15
O: 0.2805 0.2488 0.7732  2 Co 1.91-1.93, 1 Li 2.11
O: 0.2826 0.0070 0.7644  2 Co 1.91-1.94, 2 Li 2.06
O: 0.7174 0.0070 0.2356  2 Co 1.91-1.94, 2 Li 2.06
O: 0.7195 0.2488 0.2268  2 Co 1.91-1.93, 1 Li 2.11
O: 0.7244 0.4952 0.2401  2 Co 1.95-1.98, 3 Li 2.07-2.15
O: 0.7448 0.1303 0.7934  2 Co 1.90-1.93, 2 Li 2.02-2.08
O: 0.7546 0.8645 0.7700  1 Mn 1.88, 2 Li 2.01-2.08, 1 Co 2.08
O: 0.7597 0.7482 0.2202  1 Mn 1.97, 2 Co 2.03-2.09, 2 Li 2.09-2.14
O: 0.7639 0.6234 0.7767  2 Mn 1.99-2.01, 1 Co 2.08, 3 Li 2.15-2.19
O: 0.7726 0.3705 0.7740  2 Co 1.95-2.13, 1 Mn 1.95, 3 Li 2.13-2.14


2.
The following is a PBE+U calculation of a relaxed La3SiMo4O14 crystal, from the Materials Project.

The energy with MP2020 corrections comes out at -8.851 eV/atom. For the calculated formation energy, the calculation gives -2.811 eV/atom. Its density is 5.73 g/cm3.

a = 18.2840 Å, b = 10.9117 Å, c = 6.1177 Å
α = 90.00°, β = 90.00°, γ = 90.00°
Last column: nearest neighbours and their distance in Å.
Positions (direct):
La: 0.0297 0.2034 0.0000  7 O 2.51-2.64
La: 0.1581 0.0200 0.5065  5 O 2.43-2.56
La: 0.1671 0.3713 0.5036  5 O 2.41-2.61
La: 0.3329 0.8713 0.0036  5 O 2.41-2.61
La: 0.3419 0.5200 0.0065  5 O 2.43-2.56
La: 0.4703 0.7034 0.5000  7 O 2.51-2.64
La: 0.5297 0.2966 0.0000  7 O 2.51-2.64
La: 0.6581 0.4800 0.5065  5 O 2.43-2.56
La: 0.6671 0.1287 0.5036  5 O 2.41-2.61
La: 0.8329 0.6287 0.0036  5 O 2.41-2.61
La: 0.8419 0.9800 0.0065  5 O 2.43-2.56
La: 0.9703 0.7966 0.5000  7 O 2.51-2.64
Si: 0.0561 0.8997 0.0008  4 O 1.63-1.67
Si: 0.4439 0.3997 0.5008  4 O 1.63-1.67
Si: 0.5561 0.6003 0.0008  4 O 1.63-1.67
Si: 0.9439 0.1003 0.5008  4 O 1.63-1.67
Mo: 0.0039 0.5052 0.0018  6 O 1.97-2.10
Mo: 0.1526 0.6781 0.2436  6 O 2.09-2.18
Mo: 0.1564 0.6821 0.7619  6 O 1.99-2.16
Mo: 0.2029 0.1321 0.0047  6 O 2.00-2.17
Mo: 0.2971 0.6321 0.5047  6 O 2.00-2.17
Mo: 0.3436 0.1821 0.2619  6 O 1.99-2.16
Mo: 0.3474 0.1781 0.7436  6 O 2.09-2.18
Mo: 0.4961 0.0052 0.5018  6 O 1.97-2.10
Mo: 0.5039 0.9948 0.0018  6 O 1.97-2.10
Mo: 0.6526 0.8219 0.2436  6 O 2.09-2.18
Mo: 0.6564 0.8179 0.7619  6 O 1.99-2.16
Mo: 0.7029 0.3679 0.0047  6 O 2.00-2.17
Mo: 0.7971 0.8679 0.5047  6 O 2.00-2.17
Mo: 0.8436 0.3179 0.2619  6 O 1.99-2.16
Mo: 0.8474 0.3219 0.7436  6 O 2.09-2.18
Mo: 0.9961 0.4948 0.5018  6 O 1.97-2.10
O: 0.0258 0.0412 0.4992  1 Si 1.63
O: 0.0411 0.3873 0.7533  2 Mo 2.10
O: 0.0442 0.3927 0.2515  2 Mo 2.09
O: 0.0721 0.8229 0.2298  1 Si 1.66
O: 0.0737 0.8229 0.7712  1 Si 1.67
O: 0.0952 0.5924 0.5127  3 Mo 2.10-2.16
O: 0.0991 0.5891 0.9872  3 Mo 1.97-2.09
O: 0.1130 0.0152 0.9971  1 Si 1.63
O: 0.1461 0.2004 0.2567  1 Mo 2.00
O: 0.1470 0.2025 0.7512  1 Mo 2.01
O: 0.2097 0.7665 0.5088  3 Mo 2.05-2.17
O: 0.2153 0.7644 0.9923  2 Mo 1.99-2.14
O: 0.2357 0.5359 0.2773  2 Mo 2.07-2.18
O: 0.2358 0.5367 0.7338  2 Mo 2.07-2.16
O: 0.2643 0.0359 0.7773  2 Mo 2.07-2.18
O: 0.2642 0.0367 0.2338  2 Mo 2.07-2.16
O: 0.2847 0.2644 0.4923  2 Mo 1.99-2.14
O: 0.2903 0.2665 0.0088  3 Mo 2.05-2.17
O: 0.3530 0.7025 0.2512  1 Mo 2.01
O: 0.3539 0.7004 0.7567  1 Mo 2.00
O: 0.3870 0.5152 0.4971  1 Si 1.63
O: 0.4009 0.0891 0.4872  3 Mo 1.97-2.09
O: 0.4048 0.0924 0.0127  3 Mo 2.10-2.16
O: 0.4263 0.3229 0.2712  1 Si 1.67
O: 0.4279 0.3229 0.7298  1 Si 1.66
O: 0.4558 0.8927 0.7515  2 Mo 2.09
O: 0.4589 0.8873 0.2533  2 Mo 2.10
O: 0.4742 0.5412 0.9992  1 Si 1.63
O: 0.5258 0.4588 0.4992  1 Si 1.63
O: 0.5411 0.1127 0.7533  2 Mo 2.10
O: 0.5442 0.1073 0.2515  2 Mo 2.09
O: 0.5721 0.6771 0.2298  1 Si 1.66
O: 0.5737 0.6771 0.7712  1 Si 1.67
O: 0.5952 0.9076 0.5127  3 Mo 2.10-2.16
O: 0.5991 0.9109 0.9872  3 Mo 1.97-2.09
O: 0.6130 0.4848 0.9971  1 Si 1.63
O: 0.6461 0.2996 0.2567  1 Mo 2.00
O: 0.6470 0.2975 0.7512  1 Mo 2.01
O: 0.7097 0.7335 0.5088  3 Mo 2.05-2.17
O: 0.7153 0.7356 0.9923  2 Mo 1.99-2.14
O: 0.7358 0.9633 0.7338  2 Mo 2.07-2.16
O: 0.7357 0.9641 0.2773  2 Mo 2.07-2.18
O: 0.7642 0.4633 0.2338  2 Mo 2.07-2.16
O: 0.7643 0.4641 0.7773  2 Mo 2.07-2.18
O: 0.7847 0.2356 0.4923  2 Mo 1.99-2.14
O: 0.7903 0.2335 0.0088  3 Mo 2.05-2.17
O: 0.8530 0.7975 0.2512  1 Mo 2.01
O: 0.8539 0.7996 0.7567  1 Mo 2.00
O: 0.8870 0.9848 0.4971  1 Si 1.63
O: 0.9009 0.4109 0.4872  3 Mo 1.97-2.09
O: 0.9048 0.4076 0.0127  3 Mo 2.10-2.16
O: 0.9263 0.1771 0.2712  1 Si 1.67
O: 0.9279 0.1771 0.7298  1 Si 1.66
O: 0.9558 0.6073 0.7515  2 Mo 2.09
O: 0.9589 0.6127 0.2533  2 Mo 2.10
O: 0.9742 0.9588 0.9992  1 Si 1.63


3.
The following is a PBE+U calculation of a relaxed VAsO5 crystal, from the Materials Project.

The energy with MP2020 corrections comes out at -7.436 eV/atom. For the calculated formation energy, the calculation gives -1.938 eV/atom. The relative energy among the computed polymorphs comes out at 0.07 eV per formula unit. Its density is 3.78 g/cm3.

a = 6.4241 Å, b = 8.7363 Å, c = 9.0817 Å
α = 90.00°, β = 134.81°, γ = 90.00°
Last column: nearest neighbours and their distance in Å.
Positions (direct):
V: 0.1232 0.1751 0.1582  1 O 1.60
V: 0.1232 0.3249 0.6582  1 O 1.60
V: 0.8768 0.6751 0.3418  1 O 1.60
V: 0.8768 0.8249 0.8418  1 O 1.60
As: 0.3765 0.7474 0.8408  4 O 1.72-1.74
As: 0.3765 0.7526 0.3408  4 O 1.72-1.74
As: 0.6235 0.2474 0.6592  4 O 1.72-1.74
As: 0.6235 0.2526 0.1592  4 O 1.72-1.74
O: 0.1087 0.1425 0.6401  1 V 1.60
O: 0.1087 0.3575 0.1401  1 V 1.60
O: 0.1276 0.6196 0.6386  1 As 1.74
O: 0.1276 0.8804 0.1386  1 As 1.74
O: 0.2158 0.6342 0.3881  1 As 1.72
O: 0.2158 0.8658 0.8881  1 As 1.72
O: 0.3520 0.1392 0.4439  1 As 1.72, 1 V 1.90
O: 0.3520 0.3608 0.9439  1 As 1.72, 1 V 1.90
O: 0.4667 0.1359 0.2115  1 As 1.72
O: 0.4667 0.3641 0.7115  1 As 1.72
O: 0.5333 0.6359 0.2885  1 As 1.72
O: 0.5333 0.8641 0.7885  1 As 1.72
O: 0.6480 0.6392 0.0561  1 As 1.72, 1 V 1.90
O: 0.6480 0.8608 0.5561  1 As 1.72, 1 V 1.90
O: 0.7842 0.1342 0.1119  1 As 1.72
O: 0.7842 0.3658 0.6119  1 As 1.72
O: 0.8724 0.1196 0.8614  1 As 1.74
O: 0.8724 0.3804 0.3614  1 As 1.74
O: 0.8913 0.6425 0.8599  1 V 1.60
O: 0.8913 0.8575 0.3599  1 V 1.60


4.
The following is a PBE+U calculation of a relaxed MgCoAgO2 crystal, from the Materials Project.

The energy with MP2020 corrections comes out at -5.574 eV/atom. For the calculated formation energy, the calculation gives -1.287 eV/atom. The relative energy among the computed polymorphs comes out at 0.00 eV per formula unit. Its density is 5.36 g/cm3.

a = 8.2064 Å, b = 8.2064 Å, c = 8.2064 Å
α = 22.19°, β = 22.19°, γ = 22.19°
Last column: nearest neighbours and their distance in Å.
Positions (direct):
Mg: 0.0000 0.0000 0.0000  3 O 1.96
Co: 0.7706 0.7706 0.7706  3 O 1.95
Ag: 0.2283 0.2283 0.2283  1 O 2.28
O: 0.1332 0.1332 0.1332  3 Co 1.95
O: 0.3636 0.3636 0.3636  3 Mg 1.96